First-principles (PBE) data for a relaxed structure of Zr2AlC, as listed in the Materials Project database.

Lattice parameters (Å, degrees): 3.3304 3.3304 14.6143 90.00 90.00 120.00
Sites, in units of the cell vectors:
Zr 0.3333 0.6667 0.0868
Zr 0.3333 0.6667 0.4132
Zr 0.6667 0.3333 0.5868
Zr 0.6667 0.3333 0.9132
Al 0.3333 0.6667 0.7500
Al 0.6667 0.3333 0.2500
C 0.0000 0.0000 0.0000
C 0.0000 0.0000 0.5000

Output
Final energy in eV/atom: -8.161